# Be3Si3Sn2O12 GGA-PBE optimized geometry
# corrected total energy (MP2020 scheme) = -149.59 eV/f.u.
# distance to the lowest polymorph of the same formula = 0.0000 eV per atom
# energy of formation from the pure elements = -2.7352 eV per atom
data_Be3Si3Sn2O12
_cell_length_a 8.257
_cell_length_b 8.188
_cell_length_c 16.378
_cell_angle_alpha 90.00
_cell_angle_beta 119.50
_cell_angle_gamma 90.00
_space_group_name_H-M_alt 'P 1 21/c 1'
_space_group_IT_number 14
loop_
_space_group_symop_operation_xyz
'x,y,z'
'-x,-y,-z'
'-x,y+1/2,-z+1/2'
'x,-y+1/2,z+1/2'
loop_
_atom_site_label
_atom_site_fract_x
_atom_site_fract_y
_atom_site_fract_z
Be1 0.011 0.091 0.377
Be2 0.323 0.131 0.244
Be3 0.335 0.650 0.406
Si1 0.011 0.728 0.413
Si2 0.320 0.740 0.745
Si3 0.338 0.221 0.900
Sn1 0.312 0.016 0.580
Sn2 0.332 0.040 0.081
O1 0.074 0.576 0.936
O2 0.093 0.170 0.027
O3 0.124 0.202 0.196
O4 0.135 0.218 0.371
O5 0.201 0.628 0.160
O6 0.219 0.627 0.465
O7 0.255 0.728 0.822
O8 0.313 0.561 0.696
O9 0.385 0.034 0.873
O10 0.441 0.155 0.359
O11 0.445 0.202 0.018
O12 0.456 0.204 0.200

# Ti2Be3Si3O12 GGA-PBE optimized geometry
# corrected total energy (MP2020 scheme) = -163.73 eV/f.u.
# energy of formation from the pure elements = -3.0537 eV per atom
data_Ti2Be3Si3O12
_cell_length_a 8.076
_cell_length_b 7.515
_cell_length_c 16.080
_cell_angle_alpha 90.00
_cell_angle_beta 120.11
_cell_angle_gamma 90.00
_space_group_name_H-M_alt 'P 1 21/c 1'
_space_group_IT_number 14
loop_
_space_group_symop_operation_xyz
'x,y,z'
'-x,-y,-z'
'-x,y+1/2,-z+1/2'
'x,-y+1/2,z+1/2'
loop_
_atom_site_label
_atom_site_fract_x
_atom_site_fract_y
_atom_site_fract_z
Ti1 0.160 0.047 0.411
Ti2 0.176 0.062 0.926
Be1 0.169 0.660 0.597
Be2 0.192 0.155 0.766
Be3 0.475 0.154 0.585
Si1 0.159 0.233 0.099
Si2 0.195 0.729 0.267
Si3 0.468 0.733 0.081
O1 0.048 0.235 0.478
O2 0.049 0.248 0.304
O3 0.071 0.128 0.648
O4 0.081 0.033 0.109
O5 0.218 0.537 0.323
O6 0.265 0.732 0.191
O7 0.287 0.625 0.538
O8 0.289 0.623 0.855
O9 0.362 0.537 0.039
O10 0.379 0.239 0.308
O11 0.380 0.239 0.132
O12 0.404 0.237 0.976

# Ti2Be3ZnSi3O12 GGA-PBE optimized geometry
# corrected total energy (MP2020 scheme) = -163.59 eV/f.u.
# energy of formation from the pure elements = -2.8416 eV per atom
data_Ti2Be3ZnSi3O12
_cell_length_a 8.204
_cell_length_b 7.640
_cell_length_c 16.373
_cell_angle_alpha 90.00
_cell_angle_beta 119.94
_cell_angle_gamma 90.00
_space_group_name_H-M_alt 'P 1 21/c 1'
_space_group_IT_number 14
loop_
_space_group_symop_operation_xyz
'x,y,z'
'-x,-y,-z'
'-x,y+1/2,-z+1/2'
'x,-y+1/2,z+1/2'
loop_
_atom_site_label
_atom_site_fract_x
_atom_site_fract_y
_atom_site_fract_z
Ti1 0.165 0.057 0.412
Ti2 0.172 0.067 0.923
Be1 0.167 0.656 0.595
Be2 0.187 0.150 0.763
Be3 0.475 0.152 0.584
Zn1 0.497 0.083 0.250
Si1 0.144 0.233 0.093
Si2 0.185 0.732 0.269
Si3 0.463 0.733 0.073
O1 0.043 0.237 0.476
O2 0.046 0.245 0.798
O3 0.076 0.130 0.648
O4 0.089 0.034 0.110
O5 0.218 0.539 0.319
O6 0.263 0.737 0.194
O7 0.286 0.629 0.539
O8 0.294 0.625 0.855
O9 0.368 0.536 0.044
O10 0.371 0.240 0.131
O11 0.386 0.245 0.314
O12 0.409 0.241 0.980

# Tm2Be2SiO7 GGA-PBE optimized geometry
# corrected total energy (MP2020 scheme) = -99.68 eV/f.u.
# energy of formation from the pure elements = -3.5989 eV per atom
data_Tm2Be2SiO7
_cell_length_a 7.262
_cell_length_b 7.262
_cell_length_c 4.741
_cell_angle_alpha 90.00
_cell_angle_beta 90.00
_cell_angle_gamma 90.00
_space_group_name_H-M_alt 'P -4 21 m'
_space_group_IT_number 113
loop_
_space_group_symop_operation_xyz
'x,y,z'
'y,-x,-z'
'-x,-y,z'
'-y,x,-z'
'x+1/2,-y+1/2,-z'
'y+1/2,x+1/2,z'
'-x+1/2,y+1/2,-z'
'-y+1/2,-x+1/2,z'
loop_
_atom_site_label
_atom_site_fract_x
_atom_site_fract_y
_atom_site_fract_z
Tm1 0.158 0.342 0.011
Be1 0.137 0.637 0.542
Si1 0.000 0.000 0.500
O1 0.000 0.500 0.687
O2 0.084 0.838 0.704
O3 0.141 0.641 0.207